# MnAl12 GGA-PBE relaxed
# Formation energy from the elements   -2.3 kcal/mol of atoms
data_MnAl12
_cell_length_a 7.5009
_cell_length_b 7.5009
_cell_length_c 7.5009
_cell_angle_alpha 90.00
_cell_angle_beta 90.00
_cell_angle_gamma 90.00
_symmetry_space_group_name_H-M 'I m -3'
_symmetry_Int_Tables_number 204
_symmetry_space_group_name_Hall '-I 2 2 3'
loop_
_atom_site_label
_atom_site_fract_x
_atom_site_fract_y
_atom_site_fract_z
_atom_site_occupancy
Mn1 0.0000 0.0000 0.0000 1
Al1 0.0000 0.3030 0.1862 1